1.
30
Lattice="-6.386 6.386 2.499 6.386 -6.386 2.499 6.386 6.386 -2.499" Properties=species:S:1:pos:R:3 comment="Hf4Co4Si7, relaxed, DFT meta-GGA r2SCAN" sg="I4/mmm, No. 139" pbc="T T T"
Hf 2.514 0.000 0.000
Hf 10.258 0.000 0.000
Hf 0.000 2.514 0.000
Hf 4.628 4.628 0.000
Hf 1.758 -1.758 2.499
Hf -1.758 1.758 2.499
Hf 1.758 1.758 2.499
Hf 0.000 10.258 0.000
Co 4.495 -1.891 1.250
Co 8.277 -1.891 1.250
Co 4.495 1.891 1.250
Co 8.277 1.891 1.250
Co -1.891 4.495 1.250
Co 1.891 4.495 1.250
Co -1.891 8.277 1.250
Co 1.891 8.277 1.250
Si 5.211 0.000 0.000
Si 7.561 0.000 0.000
Si 6.386 2.521 0.000
Si 2.690 2.690 0.000
Si 3.696 -3.696 2.499
Si 0.000 0.000 1.245
Si 0.000 5.211 0.000
Si 2.521 6.386 0.000
Si 3.865 0.000 2.499
Si 0.000 7.561 0.000
Si 0.000 0.000 3.754
Si -3.696 3.696 2.499
Si 3.696 3.696 2.499
Si 0.000 3.865 2.499



2.
24
Lattice="12.917 0.000 0.000 0.000 5.269 0.000 0.000 0.000 6.619" Properties=species:S:1:pos:R:3 comment="SrZn5, relaxed, DFT meta-GGA r2SCAN" sg="Pnma, No. 62" pbc="T T T"
Sr 1.148 1.317 0.946
Sr 5.311 3.952 4.256
Sr 7.606 1.317 2.363
Sr 11.769 3.952 5.673
Zn 0.255 3.952 2.686
Zn 1.870 5.269 4.309
Zn 1.870 2.635 4.309
Zn 2.666 3.952 6.315
Zn 2.748 3.952 2.236
Zn 3.710 1.317 5.545
Zn 3.792 1.317 3.005
Zn 4.589 0.001 0.999
Zn 4.589 2.634 0.999
Zn 6.203 1.317 5.996
Zn 6.713 3.952 0.624
Zn 8.328 5.269 5.620
Zn 8.328 2.635 5.620
Zn 9.124 3.952 3.614
Zn 9.207 3.952 1.074
Zn 10.168 1.317 4.384
Zn 10.251 1.317 0.305
Zn 11.047 0.001 2.310
Zn 11.047 2.634 2.310
Zn 12.662 1.317 3.933



3.
34
Lattice="7.424 0.000 0.000 1.450 11.304 0.000 2.436 3.922 12.107" Properties=species:S:1:pos:R:3 comment="Ta3Se8Br6, relaxed, DFT meta-GGA r2SCAN" sg="P-1, No. 2" pbc="T T T"
Ta 1.030 6.127 1.494
Ta 1.653 7.114 4.563
Ta 4.751 2.929 9.011
Ta 6.559 12.297 3.096
Ta 9.657 8.112 7.544
Ta 10.280 9.099 10.613
Se 2.143 9.609 5.342
Se 1.047 3.628 0.583
Se 2.979 7.679 2.253
Se 4.249 9.718 8.502
Se 4.245 7.396 9.023
Se 3.131 5.491 3.144
Se 3.921 8.074 5.515
Se 5.165 8.985 11.884
Se 6.145 6.241 0.223
Se 7.389 7.152 6.592
Se 8.180 9.735 8.963
Se 7.065 7.830 3.084
Se 7.061 5.508 3.605
Se 8.331 7.547 9.854
Se 10.263 11.598 11.524
Se 9.167 5.617 6.765
Br 3.082 4.456 10.157
Br 4.279 13.016 7.905
Br 3.406 2.451 4.211
Br 6.036 12.590 10.936
Br 4.731 11.044 1.965
Br 4.824 4.458 6.986
Br 6.486 10.768 5.120
Br 6.579 4.182 10.142
Br 5.275 2.636 1.171
Br 7.905 12.775 7.896
Br 7.031 2.210 4.201
Br 8.228 10.770 1.950



4.
12
Lattice="10.259 0.000 0.000 0.000 4.286 0.000 -4.572 0.000 5.125" Properties=species:S:1:pos:R:3 comment="YbGePd, relaxed, DFT meta-GGA r2SCAN" sg="C2/m, No. 12" pbc="T T T"
Yb -0.824 0.000 1.466
Yb 1.381 2.143 3.659
Yb 4.306 2.143 1.466
Yb 6.510 0.000 3.659
Ge -1.642 2.143 3.654
Ge 2.199 0.000 1.471
Ge 3.488 0.000 3.654
Ge 7.328 2.143 1.471
Pd 1.239 2.143 0.653
Pd -0.682 0.000 4.472
Pd 6.369 0.000 0.653
Pd 4.447 2.143 4.472



5.
12
Lattice="6.499 0.000 0.000 0.000 4.023 0.000 0.000 0.000 7.529" Properties=species:S:1:pos:R:3 comment="HfGeIr, relaxed, DFT meta-GGA r2SCAN" sg="Pnma, No. 62" pbc="T T T"
Hf 0.145 1.006 1.396
Hf 3.104 3.017 5.160
Hf 3.394 1.006 2.368
Hf 6.354 3.017 6.133
Ge 1.500 3.017 2.868
Ge 1.749 1.006 6.632
Ge 4.749 3.017 0.896
Ge 4.999 1.006 4.661
Ir 1.012 1.006 4.251
Ir 2.237 3.017 0.486
Ir 4.261 1.006 7.042
Ir 5.487 3.017 3.278



6.
9
Lattice="3.875 0.000 0.000 -1.937 3.355 0.000 0.000 0.000 19.810" Properties=species:S:1:pos:R:3 comment="MnBr2, relaxed, DFT meta-GGA r2SCAN" sg="R-3m, No. 166" pbc="T T T"
Mn 0.000 0.000 0.000
Mn 0.000 2.237 13.206
Mn 1.937 1.118 6.603
Br 0.000 0.000 5.099
Br 0.000 0.000 14.711
Br 0.000 2.237 8.108
Br 0.000 2.237 18.305
Br 1.937 1.118 1.504
Br 1.937 1.118 11.702



no.,formation energy from the elements (eV per atom),total moment (μB per atom)
1,-0.7443,0.000
2,-0.2449,0.000
3,-0.7913,0.000
4,-0.9673,0.000
5,-0.9240,0.000
6,-1.2913,1.667